1.
Here is CaBi2O5 after structural relaxation from the Materials Project database. Energies are from PBE.

Summary:
- E (eV/cell) = -375.3
- space-group type = Pbca, No. 61
- formation energy from the elements (kJ per mole of atoms) = -190.8

Lattice parameters (Å, degrees): 5.6472 10.8412 16.4893 90.00 90.00 90.00
Fractional positions:
Ca  0.5362  0.3654  0.4263
Ca  0.0362  0.1346  0.4263
Ca  0.0362  0.6346  0.0737
Ca  0.9638  0.3654  0.9263
Ca  0.4638  0.1346  0.9263
Ca  0.9638  0.8654  0.5737
Ca  0.4638  0.6346  0.5737
Ca  0.5362  0.8654  0.0737
Bi  0.0360  0.3812  0.5742
Bi  0.4640  0.8812  0.4258
Bi  0.9640  0.6188  0.4258
Bi  0.5360  0.1188  0.5742
Bi  0.9640  0.1188  0.0742
Bi  0.0360  0.8812  0.9258
Bi  0.4640  0.3812  0.0742
Bi  0.5360  0.6188  0.9258
Bi  0.9703  0.8512  0.2414
Bi  0.0297  0.1488  0.7586
Bi  0.5297  0.3512  0.7586
Bi  0.0297  0.6488  0.7414
Bi  0.4703  0.1488  0.2586
Bi  0.4703  0.6488  0.2414
Bi  0.5297  0.8512  0.7414
Bi  0.9703  0.3512  0.2586
O  0.8836  0.3095  0.6834
O  0.2250  0.9951  0.0281
O  0.2750  0.4951  0.9719
O  0.2628  0.7733  0.1645
O  0.2372  0.2733  0.8355
O  0.8836  0.8095  0.8166
O  0.2372  0.7733  0.6645
O  0.6164  0.8095  0.3166
O  0.2250  0.4951  0.4719
O  0.1164  0.6905  0.3166
O  0.6164  0.3095  0.1834
O  0.7869  0.2451  0.5182
O  0.7250  0.0049  0.4719
O  0.7372  0.7267  0.6645
O  0.2393  0.9949  0.8510
O  0.7250  0.5049  0.0281
O  0.1164  0.1905  0.1834
O  0.7628  0.2267  0.3355
O  0.2869  0.7549  0.9818
O  0.2750  0.9951  0.5281
O  0.2131  0.7549  0.4818
O  0.7607  0.0051  0.1490
O  0.7372  0.2267  0.8355
O  0.7393  0.0051  0.6490
O  0.2131  0.2549  0.0182
O  0.2869  0.2549  0.5182
O  0.7750  0.5049  0.5281
O  0.7750  0.0049  0.9719
O  0.7393  0.5051  0.8510
O  0.7131  0.7451  0.4818
O  0.7131  0.2451  0.0182
O  0.7869  0.7451  0.9818
O  0.7607  0.5051  0.3510
O  0.7628  0.7267  0.1645
O  0.2628  0.2733  0.3355
O  0.2393  0.4949  0.6490
O  0.2607  0.4949  0.1490
O  0.3836  0.1905  0.6834
O  0.2607  0.9949  0.3510
O  0.3836  0.6905  0.8166

---

2.
Here is CaBi2O5 after structural relaxation from the Materials Project database. Energies are from PBE.

Summary:
- E (eV/cell) = -185.2
- space-group type = P2_1/c, No. 14
- formation energy from the elements (kJ per mole of atoms) = -183.3

Lattice parameters (Å, degrees): 5.9509 8.9037 12.1609 90.00 90.00 109.57
Fractional positions:
Ca  0.6275  0.1722  0.9120
Ca  0.3725  0.8278  0.0880
Ca  0.8725  0.3278  0.4120
Ca  0.1275  0.6722  0.5880
Bi  0.8164  0.9567  0.6314
Bi  0.1836  0.0433  0.3686
Bi  0.6836  0.5433  0.1314
Bi  0.3164  0.4567  0.8686
Bi  0.1098  0.1489  0.0962
Bi  0.8902  0.8511  0.9038
Bi  0.6098  0.6489  0.4038
Bi  0.3902  0.3511  0.5962
O  0.5081  0.3355  0.0477
O  0.0292  0.3139  0.9550
O  0.4660  0.6502  0.2015
O  0.7416  0.5141  0.5251
O  0.7837  0.4949  0.2865
O  0.2837  0.9949  0.2135
O  0.5292  0.8139  0.5450
O  0.4708  0.1861  0.4550
O  0.2584  0.4859  0.4749
O  0.9919  0.1645  0.5477
O  0.2163  0.5051  0.7135
O  0.4919  0.6645  0.9523
O  0.0081  0.8355  0.4523
O  0.7163  0.0051  0.7865
O  0.7584  0.9859  0.0251
O  0.2416  0.0141  0.9749
O  0.5340  0.3498  0.7985
O  0.9708  0.6861  0.0450
O  0.0340  0.8498  0.7015
O  0.9660  0.1502  0.2985

---

3.
Here is CaBi4O6 after structural relaxation from the Materials Project database. Energies are from PBE.

Summary:
- E (eV/cell) = -186.2
- space-group type = Cm, No. 8
- formation energy from the elements (kJ per mole of atoms) = -166.1

Lattice parameters (Å, degrees): 10.3260 10.3260 10.1009 85.66 85.66 142.10
Fractional positions:
Ca  0.0190  0.2117  0.0050
Ca  0.6002  0.6002  0.0271
Ca  0.2117  0.0190  0.0050
Bi  0.3560  0.3560  0.6806
Bi  0.2250  0.4450  0.3345
Bi  0.9694  0.7669  0.6706
Bi  0.8284  0.8284  0.3143
Bi  0.5946  0.1915  0.6776
Bi  0.7903  0.4142  0.0142
Bi  0.4450  0.2250  0.3345
Bi  0.1915  0.5946  0.6776
Bi  0.4142  0.7903  0.0142
Bi  0.9766  0.6052  0.3354
Bi  0.7669  0.9694  0.6706
Bi  0.6052  0.9766  0.3354
O  0.5092  0.5092  0.2983
O  0.3185  0.3185  0.8906
O  0.3005  0.5055  0.1124
O  0.0027  0.0027  0.6935
O  0.8729  0.6653  0.8884
O  0.9224  0.9224  0.0978
O  0.6352  0.4421  0.6446
O  0.5216  0.1384  0.8897
O  0.5055  0.3005  0.1124
O  0.3722  0.9490  0.3118
O  0.2566  0.8707  0.6864
O  0.1384  0.5216  0.8897
O  0.0354  0.6927  0.1207
O  0.9490  0.3722  0.3118
O  0.8707  0.2566  0.6864
O  0.6653  0.8729  0.8884
O  0.6927  0.0354  0.1207
O  0.4421  0.6352  0.6446